# 1
34
Lattice="-8.0201 -0.1888 -4.0970 6.7247 -0.3779 -5.9815 -0.6664 -5.4160 -4.6706" Properties=species:S:1:pos:R:3 comment="CoH12PdC4N4O12 (PBE+U, relaxed)" magmom_total_mub_per_cell=7.06 final_energy_ev_per_fu=-194.7 pbc="T T T"
H 0.8195 -3.7992 -4.4029
H -2.7813 -2.1835 -10.3462
O -4.7605 -2.0742 -7.9742
C -3.4983 -3.4134 -6.4283
Pd -0.3332 -2.7080 -2.3353
O -2.7596 -0.2562 -4.7694
H 0.0342 -2.2196 -10.7061
H -3.0030 -5.4337 -12.9014
O -0.8471 -1.4968 -6.4775
O -4.5102 -3.8148 -5.8408
H -1.4859 -0.5166 -1.5248
O -1.1147 -4.4859 -8.2716
C -3.6439 -2.5028 -7.6587
H -6.0904 -3.8559 -7.2629
N -7.0631 -4.1009 -7.4870
H -1.9960 -3.7631 -4.0431
O 0.3055 -2.2790 -8.6552
H 3.9690 -3.9850 -8.5485
O -2.5296 -2.2426 -8.2929
O 2.7987 -3.9086 -6.7750
H -5.9308 -1.9978 -6.2006
O -2.2673 -3.7037 -6.0939
C 1.6821 -3.4799 -7.0904
H 4.1286 -2.1268 -7.4863
O 2.5484 -2.1679 -8.9083
O 1.4642 -0.3104 -5.3092
N 4.8476 -4.2537 -9.0093
N -6.8094 -1.7290 -5.7399
O 0.5678 -3.7401 -6.4562
H 1.0412 -0.5490 -1.8477
C 1.5365 -2.5693 -8.3208
N 5.1013 -1.8818 -7.2621
Co -0.9809 -2.9914 -7.3746
H -0.4759 -5.4661 -13.2244



# 2
22
Lattice="-2.9440 -0.8782 -4.5731 2.2022 -6.3705 -1.3464 -6.4148 -5.6447 2.1819" Properties=species:S:1:pos:R:3 comment="Li2V2F7 (PBE+U, relaxed)" magmom_total_mub_per_cell=10.00 final_energy_ev_per_fu=-62.7 pbc="T T T"
F -2.9160 -10.1777 -0.1550
Li -6.0301 -8.5545 -3.1917
F -6.5787 -6.0966 0.4376
Li -3.3369 -4.0626 -2.2441
F -4.1186 -7.3355 -0.2890
V -5.1579 -11.6106 -2.7585
V -1.9987 -1.2828 -0.9791
F -1.6744 -3.1047 -1.8225
V -2.5073 -7.3751 -3.9800
F -5.4821 -9.7888 -1.9151
Li -1.1264 -4.3390 -0.5460
F -3.0380 -5.5580 -3.4486
F -4.2405 -2.7157 -3.5826
F -0.1464 -5.8822 -1.2225
F -2.9357 -4.8562 -0.2817
F -7.0102 -7.0113 -2.5151
F -4.2209 -8.0373 -3.4559
F -1.8646 -8.1632 -2.2433
V -4.6493 -5.5184 0.2423
F -0.5778 -6.7969 -4.1752
F -5.2920 -4.7303 -1.4944
Li -3.8197 -8.8308 -1.4936



# 3
88
Lattice="-6.7888 -0.1226 -13.1861 -6.7469 -3.0805 3.5023 -3.5784 9.4763 1.7543" Properties=species:S:1:pos:R:3 comment="TeMo5O16 (PBE+U, relaxed)" magmom_total_mub_per_cell=0.00 final_energy_ev_per_fu=-150.8 pbc="T T T"
O -6.2820 -1.6136 -3.2788
O -5.2124 7.3094 2.0219
O -10.3863 6.1731 -9.3474
Te -7.6841 -0.7770 -9.9969
O -9.2196 -1.5691 -9.3421
O -9.8750 5.9451 0.4895
O -3.5639 0.3104 -2.0500
O -12.4351 3.0746 -1.9612
Mo -7.8244 2.3842 -8.5425
O -10.8321 7.8868 -4.6508
Mo -7.4827 0.7316 -0.2561
O -9.4479 -0.1150 0.7452
Mo -13.9328 4.0570 -9.5168
O -11.7953 2.3361 -5.8774
Te -9.8787 -2.2959 -5.9560
O -12.2752 0.9414 -8.1925
Te -7.2354 8.5692 -1.9736
O -12.5633 6.2787 0.6477
O -5.0843 1.6092 -3.6935
Te -9.4300 7.0502 2.0673
O -2.6756 0.3530 0.8259
O -9.9419 7.5074 -7.1744
O -7.2806 2.5109 -6.7950
O -8.8772 0.9255 -1.7156
O -4.8390 5.3319 0.2629
Mo -9.2897 3.8891 0.6129
Mo -6.4925 2.0196 -5.0043
O -8.6821 1.4986 -10.1551
O -10.7320 3.3045 1.4042
O -14.4385 5.9203 -8.7555
O -6.8468 3.8888 -4.3508
O -7.1723 -1.2341 -0.7552
Mo -5.9463 5.4288 -1.1965
O -10.9985 4.8488 -6.8438
Mo -2.4055 -0.7569 -0.6047
O -9.6904 1.4297 -7.4559
O -3.7890 2.4967 -0.1363
O -6.7672 6.2841 -2.8442
O -13.5503 5.9629 -5.8796
O -8.9972 -1.2405 -3.1492
O -9.2601 5.0851 -3.6142
O -8.2175 2.4055 0.6212
Mo -9.9247 0.6151 -3.2072
O -8.2370 5.3478 -6.2139
Mo -9.6314 5.5416 -7.6735
Mo -4.1653 2.2709 -2.1161
Mo -3.1813 2.2162 1.5872
O -10.2673 2.3844 -3.5788
O -8.8966 3.8678 -8.5507
O -0.9898 -0.0387 -1.3032
O -5.3188 3.9372 -2.0522
O -8.1169 7.5137 -4.7804
O -11.9017 -1.0361 -9.9515
O -9.8335 3.7624 -1.1346
O -13.3251 3.7766 -7.7933
O -6.2014 7.4908 -0.6787
O -5.6724 4.6760 2.8706
O -7.2340 2.4025 3.2006
O -7.8695 2.6673 -12.6489
O -10.9127 -1.2175 -7.2509
Mo -7.6675 -2.3312 -2.5217
O -4.6790 3.1986 -5.9684
O -9.8801 3.8708 -11.1301
Mo -10.6216 4.2537 -2.9252
Mo -7.1894 5.6581 -4.7224
O -11.4417 1.5972 -10.8001
Mo -10.6320 5.7329 -11.2489
O -7.2391 0.3282 -8.4191
O -16.1243 6.3120 -6.6264
O -7.4238 4.8436 -0.4737
O -9.2447 3.6060 4.7193
O -7.6662 6.3883 -8.6748
O -11.4970 5.7166 -1.8813
O -6.7278 0.1002 1.4178
Mo -6.4822 0.5404 3.3193
O -5.6171 0.5567 -6.0482
Mo -12.9488 4.0024 -5.8135
O -12.0298 4.6641 -4.2360
O -6.1156 1.4245 -1.0858
Mo -11.1678 0.8445 -6.7330
O -10.3470 -0.0108 -5.0853
Mo -14.7086 7.0301 -7.3249
O -7.8945 7.8424 1.4125
O -8.4321 4.7747 2.2255
O -7.8540 1.1882 -4.3154
O -6.3821 2.9688 -9.3337
Mo -9.4466 8.6045 -5.4078
O -4.5508 -0.0055 -8.5772



# 4
60
Lattice="5.4630 0.0000 0.0000 0.0000 9.4564 0.0000 0.0000 0.0000 14.5946" Properties=species:S:1:pos:R:3 comment="Li2Mn4OF8 (PBE+U, relaxed)" magmom_total_mub_per_cell=80.00 final_energy_ev_per_fu=-91.6 pbc="T T T"
Mn 1.2813 7.8106 3.5149
Li 4.1107 9.4173 1.4883
O 0.2574 2.8922 9.6194
F 5.2917 4.7282 7.2973
Mn 1.2502 1.6021 8.1559
F 3.1323 7.8910 9.8212
Mn 1.2608 7.8853 10.7738
F 3.2071 1.4120 0.0719
F 4.9603 1.5239 12.1926
F 3.2071 8.0445 14.5226
F 2.1563 9.4119 12.1591
Li 4.1107 0.0391 13.1062
Li 4.0052 9.2277 8.7202
F 4.9839 4.7685 12.2528
Li 1.3523 4.7673 8.7856
Mn 1.2502 7.8544 6.4386
F 2.3307 6.2937 2.5240
O 5.2056 7.6204 12.2725
F 0.5027 6.2521 9.6992
O 0.2574 6.5642 4.9752
F 4.9839 4.6879 2.3417
F 3.1323 1.5654 4.7733
Mn 4.2022 6.2993 3.4765
Mn 4.1817 3.0824 3.7824
F 3.3067 4.6837 9.7327
F 2.4784 3.0828 2.3127
F 4.8122 8.0467 7.3448
Mn 1.3006 7.9424 13.6749
F 0.6508 6.1380 0.0475
F 2.2559 3.3162 7.3692
F 2.3307 3.1628 12.0706
F 2.1563 0.0445 2.4354
Li 1.4578 4.9569 1.4229
Li 1.4578 4.4995 13.1717
Li 4.0052 0.2287 5.8744
F 0.6508 3.3184 14.5470
O 5.2056 1.8360 2.3221
F 2.3524 0.0000 7.2973
Li 1.3523 4.6891 5.8090
Mn 1.2813 1.6458 11.0797
F 0.5027 3.2044 4.8953
F 3.3067 4.7728 4.8619
Mn 4.2128 3.1261 0.8587
Mn 1.2608 1.5711 3.8207
F 2.4784 6.3737 12.2819
F 0.4791 9.4161 4.9555
F 2.9846 7.8110 4.9846
Mn 4.2022 3.1571 11.1180
F 2.2559 6.1402 7.2254
F 4.9603 7.9326 2.4020
Mn 4.1817 6.3740 10.8122
F 4.8122 1.4098 7.2497
Mn 4.1624 3.2141 8.2170
F 3.1106 4.7282 0.0000
F 0.1713 0.0000 0.0000
F 0.4791 0.0403 9.6390
Mn 4.1624 6.2423 6.3776
Mn 4.2128 6.3303 13.7359
Mn 1.3006 1.5141 0.9197
F 2.9846 1.6455 9.6100



# 5
43
Lattice="5.2970 0.0000 0.0000 -0.0497 9.0478 0.0000 -2.4700 -4.4792 10.1106" Properties=species:S:1:pos:R:3 comment="Li3Fe8B8O24 (PBE+U, relaxed)" magmom_total_mub_per_cell=37.00 final_energy_ev_per_fu=-307.7 pbc="T T T"
O 3.0089 6.2441 0.6346
O 4.2077 7.3772 3.4150
Fe 0.8960 -1.5610 3.7909
B -0.7767 -1.5160 6.3085
O 1.5886 2.5973 3.2540
Fe 4.4816 7.5278 1.2099
O -1.2696 -0.2507 6.4781
O 1.1246 1.9264 6.7450
Fe 1.8417 6.0637 6.3592
O -1.5089 -2.6172 6.7100
Fe 3.5821 3.1898 3.7153
O -0.3881 1.5254 4.1758
B 0.9385 1.4615 3.6983
O 2.3790 2.8314 9.2219
O 3.7073 2.7071 1.5224
O -0.3609 -1.4904 9.2679
B 0.9723 -1.4104 8.8101
Li 3.5236 0.1291 3.4372
O 0.4991 -1.7029 5.7771
Fe -1.6469 -3.1312 8.7907
O 1.1722 4.8349 1.2651
O -0.9215 4.1153 9.0865
Li -1.7384 -0.0827 8.4604
B 4.4083 1.5402 1.2516
O -0.9736 1.7969 8.3246
O 3.1627 2.7787 5.8175
O 2.2724 6.3007 4.3273
B -1.5930 2.9581 8.8491
O 1.5834 0.2403 3.6578
B 1.7845 6.0406 1.2418
O 1.3650 4.2699 6.3599
Fe 1.7807 3.0582 1.2641
B 3.5713 6.1627 3.8071
B 1.8892 3.0257 6.3076
Fe 0.9633 1.5887 8.8043
Li 1.8881 -0.0813 0.9270
O 4.1899 5.0042 3.6729
Fe -0.7168 1.5532 6.1982
O 1.1609 7.1939 1.7815
O 3.7802 0.3230 1.4050
O 1.6460 -2.5398 8.3553
O 0.4703 1.5873 0.8793
O 1.6248 -0.1960 8.7635



# 6
16
Lattice="-0.4370 -3.9600 0.7879 3.6199 -0.7353 -1.6878 8.0991 2.3579 16.3433" Properties=species:S:1:pos:R:3 comment="La3YFe4As4O4 (PBE+U, relaxed)" magmom_total_mub_per_cell=15.41 final_energy_ev_per_fu=-109.2 pbc="T T T"
Fe 1.8231 -1.3856 4.5138
Fe 5.8508 -0.2131 12.6413
As 2.9156 -1.9621 2.2221
Fe 7.8793 1.3993 11.4035
As 2.7612 0.8038 5.5718
O 5.8341 0.8039 7.2765
O 7.8712 0.3751 16.7183
La 4.5742 1.3317 9.2304
La 0.5334 0.1553 1.0764
O 3.8057 -0.8085 8.5144
La 9.1439 -0.1489 14.7902
Fe 3.8516 0.2267 3.2759
O 9.8997 1.9875 15.4805
As 6.9753 -0.7803 10.4141
As 6.7482 1.9646 13.6173
Y 5.1565 -1.3098 6.7440



# 7
48
Lattice="-0.0323 4.7512 -1.9832 -9.8297 2.1278 4.6354 2.0582 4.4831 10.0224" Properties=species:S:1:pos:R:3 comment="Na2NiPCO7 (PBE+U, relaxed)" magmom_total_mub_per_cell=4.00 final_energy_ev_per_fu=-75.4 pbc="T T T"
P -4.6837 6.8788 11.7046
O -5.5533 8.0586 8.0054
Ni 0.1144 5.1497 1.6674
O -3.7259 5.6607 1.8436
O -6.1661 6.6000 12.0570
O -1.8620 8.8011 9.6884
Na -6.8054 9.3971 11.3383
P -3.1451 4.5038 0.9898
O -0.6797 4.8103 3.4086
Na -7.7553 4.7354 7.4000
Na -1.8450 5.9557 10.1434
O -2.2423 6.6071 6.1047
O 1.2265 5.8620 7.1393
O -9.0193 5.4867 5.5444
O -5.6055 4.7166 6.5297
Na -1.8744 4.3488 7.0049
O -2.9464 8.5053 7.1001
O -0.0354 3.7947 5.6599
O -4.0853 5.7329 10.8487
O 0.3066 5.9300 9.2020
Ni -4.0220 2.8970 3.6550
O -4.5800 8.2124 10.8879
O 1.0475 4.0190 8.2607
Na -2.7053 6.0105 3.9487
P -7.0547 7.8332 8.3434
O -3.2519 3.1771 1.8357
O -4.7264 4.7322 4.4441
O -2.2572 3.3406 4.7182
O -1.6605 4.7448 0.6270
P -0.7618 3.5471 4.3257
C -2.7317 7.2142 7.1012
O -7.1765 6.5177 9.1901
O -0.1834 2.3637 3.5156
O -7.7754 7.6350 6.9862
Na -1.0598 1.9723 1.3267
O -5.9751 2.5624 3.0214
O -8.1344 5.4768 3.4650
C -8.6523 6.0792 4.4363
O -7.6187 9.0117 9.1584
O -4.8366 2.8482 5.5357
O -8.8863 7.3625 4.4502
C -5.0887 4.1292 5.5458
C 0.8505 5.3047 8.2542
Ni -3.7977 8.4718 9.0390
Na -4.9990 5.3360 8.7125
Na -5.9898 5.4581 2.5847
Ni -7.9742 6.1952 11.0010
O -3.0551 6.5957 8.2067



# 8
19
Lattice="-4.6263 4.3864 2.9336 0.4539 4.8363 -2.9372 -5.0370 -0.4229 -2.9066" Properties=species:S:1:pos:R:3 comment="MgMn6O10F2 (PBE+U, relaxed)" magmom_total_mub_per_cell=22.00 final_energy_ev_per_fu=-132.3 pbc="T T T"
Mn 0.1491 4.5107 -2.8694
O -3.9229 3.3688 -1.5464
O -5.2253 5.5418 -4.4687
O -5.3019 5.4304 -1.3997
O -1.4760 3.2282 -2.8795
O -3.8960 3.3373 -4.2473
Mn -1.9421 7.0284 -1.3885
Mn -2.3158 2.1924 -1.4740
Mn -4.8667 4.2076 0.0422
O -6.1106 7.5809 -2.8567
O -3.0897 1.2615 -0.0023
O -5.3468 5.4284 1.5983
F -7.7503 5.4961 -2.6737
F -1.4506 3.3740 -0.1226
O -3.9971 3.3141 1.5128
Mn -4.2403 4.8013 -2.9136
O -7.6004 5.5829 0.0649
Mn -6.7925 6.6270 -1.3866
Mg -4.7833 1.9928 -2.9307



# 9
54
Lattice="8.5977 0.0000 0.0000 4.1904 7.5549 0.0000 1.0446 0.5502 10.1893" Properties=species:S:1:pos:R:3 comment="Li2VF6 (PBE+U, relaxed)" magmom_total_mub_per_cell=6.00 final_energy_ev_per_fu=-48.1 pbc="T T T"
F 10.6757 4.6324 6.1881
F 9.5616 2.0425 5.7403
F 6.4283 7.1746 5.6457
F 12.0148 7.2100 1.6225
V 8.6918 5.1681 2.0923
Li 5.2733 1.0604 0.5096
F 4.4631 6.0031 4.5686
F 3.5325 1.9278 1.6156
F 3.8061 2.4578 6.8324
V 4.5943 2.7043 3.0237
Li 6.9633 0.4655 7.8645
V 5.1324 3.0010 8.0566
F 6.4645 2.2151 7.1149
Li 5.5423 4.7165 0.2935
F 4.9075 6.2715 9.6558
F 7.4462 0.8082 4.3748
F 8.6757 3.4837 3.0192
F 4.5166 1.1298 3.9347
F 10.1225 4.4525 1.0666
V 4.7808 7.8061 5.0847
F 5.1724 4.5881 7.0863
F 3.6412 3.6181 9.1250
F 5.8839 6.8865 0.5171
F 7.8271 6.0985 8.2584
Li 7.9685 1.6307 2.5962
F 1.7385 1.0783 8.6103
Li 11.8188 5.4736 9.4888
F 3.0937 3.3750 3.9811
F 8.1002 4.7553 5.8249
Li 6.4834 5.3187 4.8361
F 8.9293 1.7218 0.7339
Li 2.0021 2.5654 0.7653
F 5.0757 1.3282 9.0707
F 9.5032 6.9771 6.2503
F 9.2864 3.8781 8.1503
F 4.7009 4.2086 1.9776
F 7.8636 1.0016 9.5320
F 6.0989 1.9663 2.0490
Li 1.9279 2.4911 7.3257
Li 9.8390 3.6386 4.6106
F 1.1712 0.8023 3.4539
V 12.7691 7.5251 0.0073
F 6.2213 3.6328 9.4544
F 10.4256 6.2679 8.5025
Li 3.9017 4.3997 5.5314
V 9.1904 5.4246 7.1902
F 7.3173 5.7803 3.0944
Li 8.5834 7.1774 9.7333
F 8.8760 6.7674 1.0760
F 5.6641 3.5485 4.3410
F 7.4642 4.6166 0.7605
F 12.5176 7.4515 6.6805
Li 10.0244 7.3878 4.4227
F 9.9017 5.7425 3.4350